# DySe | Materials Project | r2SCAN | optimized geometry
data_DySe
_space_group_name_H-M_alt 'P 1'
_space_group_IT_number 1
_space_group_name_Hall 'P 1'
_cell_length_a 4.058
_cell_length_b 4.058
_cell_length_c 4.058
_cell_angle_alpha 60.00
_cell_angle_beta 60.00
_cell_angle_gamma 60.00
loop_
_atom_site_label
_atom_site_type_symbol
_atom_site_fract_x
_atom_site_fract_y
_atom_site_fract_z
Dy1 Dy 0.000 0.000 0.000
Se1 Se 0.500 0.500 0.500
# Energy relative to the elements   -1998 meV per atom
# Space-group type   Fm-3m


# NdB3O6 | Materials Project | r2SCAN | optimized geometry
data_NdB3O6
_space_group_name_H-M_alt 'P 1'
_space_group_IT_number 1
_space_group_name_Hall 'P 1'
_cell_length_a 6.353
_cell_length_b 6.353
_cell_length_c 6.350
_cell_angle_alpha 117.21
_cell_angle_beta 117.21
_cell_angle_gamma 79.27
loop_
_atom_site_label
_atom_site_type_symbol
_atom_site_fract_x
_atom_site_fract_y
_atom_site_fract_z
Nd1 Nd 0.198 0.802 0.750
Nd2 Nd 0.802 0.198 0.250
B1 B 0.209 0.342 0.916
B2 B 0.221 0.779 0.250
B3 B 0.342 0.209 0.416
B4 B 0.658 0.791 0.584
B5 B 0.779 0.221 0.750
B6 B 0.791 0.658 0.084
O1 O 0.006 0.783 0.288
O2 O 0.210 0.586 0.007
O3 O 0.211 0.389 0.498
O4 O 0.217 0.994 0.212
O5 O 0.389 0.211 0.998
O6 O 0.414 0.790 0.493
O7 O 0.586 0.210 0.507
O8 O 0.611 0.789 0.002
O9 O 0.783 0.006 0.788
O10 O 0.789 0.611 0.502
O11 O 0.790 0.414 0.993
O12 O 0.994 0.217 0.712
# Energy relative to the elements   -2978 meV per atom
# Space-group type   C2/c